VASP calculation (PBE) on an optimized crystal structure of CoW2Cl10.

It has space group C2/c (No. 15), with a = 6.209 Å, b = 16.648 Å, c = 12.406 Å, α = 90.00°, β = 99.63° and γ = 90.00°. The asymmetric unit holds Co at (0.000, 0.054, 0.250), W at (0.000, 0.272, 0.250), W at (0.000, 0.434, 0.250), Cl at (0.113, 0.160, 0.141), Cl at (0.129, 0.353, 0.116), Cl at (0.132, 0.458, 0.642), Cl at (0.150, 0.051, 0.640) and Cl at (0.159, 0.240, 0.643).

For the energy relative to the elements, the calculation gives -1.23 eV per atom.